An optimized crystal structure of MgUO4, computed with PBE.

calculated formation energy = -3.46 eV per atom

Cell: 6.6211 6.9663 6.7039 Å, 90.00 90.00 90.00°
Space group Imma (No. 74)
One atom of each set of equivalent atoms:
Mg 0.0000 0.0000 0.0000 [4 per cell]
U 0.0000 0.2500 0.4859 [4 per cell]
O 0.0000 0.0107 0.6913 [8 per cell]
O 0.2022 0.2500 0.0144 [8 per cell]